! Sr4MgMn2Ga2O11 | the Materials Project | GGA+U | relaxed; values from VASP
&SYSTEM
  ibrav = 0, nat = 20, ntyp = 5
/
ATOMIC_SPECIES
Sr 87.62 Sr.upf
Mg 24.30 Mg.upf
Mn 54.94 Mn.upf
Ga 69.72 Ga.upf
O 16.00 O.upf
CELL_PARAMETERS angstrom
5.8839 0.0000 0.0000
-1.0241 5.8480 0.0000
-2.6432 -2.7268 7.8738
ATOMIC_POSITIONS angstrom
Sr 0.0000 0.0000 0.0000
Sr -0.5800 0.6241 4.0935
Sr 1.5261 3.6740 0.3816
Sr 1.7804 3.4742 4.0940
Mg 3.8523 1.9606 0.2301
Mn -1.3478 3.5582 2.3116
Mn 2.4122 0.4656 2.2306
Ga -1.2015 3.5913 5.9576
Ga 2.4950 0.3444 5.9040
O -0.3382 2.1673 1.3090
O -1.5966 -0.9088 5.8574
O -2.2100 1.8912 6.2192
O -0.7286 3.0865 4.2064
O 0.1049 4.8589 2.0704
O 2.5413 0.4563 0.2618
O 1.9838 0.7298 4.1248
O 1.6485 -1.5098 6.2512
O 1.1804 0.9818 7.1629
O 2.9700 2.3470 2.0730
O 4.1613 -0.8498 2.4739
! Energy of formation, eV per atom: -2.5616
! Offset from the most stable computed form, meV/atom: 0
! E_tot, eV/atom: -6.38
! MP2020-corrected energy, eV per atom: -6.92
! SG: P1
! V, Å³ per cell: 270.9